No. 1
The following is a DFT calculation (PBE) of MnAg2GeSe4 after structural relaxation.

Unit cell a=8.245 b=7.309 c=6.982 alpha=90.00 beta=90.00 gamma=90.00
Space group Pmn2_1 (No. 31)
Asymmetric unit:
Mn (0.000, 0.147, 0.000) x2
Ag (0.246, 0.675, 0.010) x4
Ge (0.000, 0.835, 0.490) x2
Se (0.000, 0.141, 0.363) x2
Se (0.000, 0.839, 0.837) x2
Se (0.245, 0.675, 0.388) x4

For the energy with MP2020 corrections, the calculation gives -0.343 Ry per atom.

---

No. 2
The following is a DFT calculation (PBE) of Na5AgGe2S7 after structural relaxation.

Unit cell a=9.232 b=10.348 c=14.979 alpha=90.00 beta=103.89 gamma=90.00
Space group C2/c (No. 15)
Asymmetric unit:
Na (0.000, 0.000, 0.000) x4
Na (0.120, 0.356, 0.081) x8
Na (0.240, 0.223, 0.360) x8
Ag (0.000, 0.085, 0.750) x4
Ge (0.159, 0.422, 0.859) x8
S (0.000, 0.458, 0.250) x4
S (0.060, 0.238, 0.892) x8
S (0.131, 0.114, 0.184) x8
S (0.195, 0.434, 0.472) x8

For the energy with MP2020 corrections, the calculation gives -0.310 Ry per atom.

---

No. 3
The following is a DFT calculation (PBE) of Nd3Ag4Ge4 after structural relaxation.

Unit cell a=4.465 b=7.226 c=14.820 alpha=90.00 beta=90.00 gamma=90.00
Space group Immm (No. 71)
Asymmetric unit:
Nd (0.000, 0.000, 0.000) x2
Nd (0.000, 0.500, 0.128) x4
Ag (0.000, 0.305, 0.331) x8
Ge (0.000, 0.000, 0.217) x4
Ge (0.000, 0.182, 0.500) x4

The energy comes out at -4.565 eV per atom.

---

No. 4
The following is a DFT calculation (PBE) of NdAg2Ge2 after structural relaxation.

Unit cell a=4.314 b=4.314 c=11.183 alpha=90.00 beta=90.00 gamma=90.00
Space group I4/mmm (No. 139)
Asymmetric unit:
Nd (0.000, 0.000, 0.000) x2
Ag (0.000, 0.500, 0.250) x4
Ge (0.000, 0.000, 0.390) x4

The energy comes out at -4.360 eV per atom.

---

No. 5
The following is a DFT calculation (PBE) of Ag4GeO4 after structural relaxation.

Unit cell a=6.579 b=8.602 c=10.264 alpha=106.77 beta=93.07 gamma=94.65
Space group P-1 (No. 2)
Asymmetric unit:
Ag (0.016, 0.016, 0.247) x2
Ag (0.047, 0.420, 0.860) x2
Ag (0.084, 0.363, 0.368) x2
Ag (0.229, 0.824, 0.922) x2
Ag (0.322, 0.182, 0.526) x2
Ag (0.421, 0.606, 0.669) x2
Ag (0.442, 0.653, 0.162) x2
Ag (0.477, 0.963, 0.743) x2
Ge (0.201, 0.772, 0.443) x2
Ge (0.275, 0.249, 0.061) x2
O (0.043, 0.344, 0.575) x2
O (0.074, 0.352, 0.153) x2
O (0.221, 0.953, 0.587) x2
O (0.224, 0.221, 0.884) x2
O (0.242, 0.825, 0.291) x2
O (0.281, 0.059, 0.101) x2
O (0.392, 0.642, 0.468) x2
O (0.486, 0.625, 0.886) x2

For the energy with MP2020 corrections, the calculation gives -0.358 Ry per atom.

---

No. 6
The following is a DFT calculation (PBE) of Ag2Ge2O5 after structural relaxation.

Unit cell a=11.230 b=10.295 c=12.472 alpha=90.00 beta=94.50 gamma=90.00
Space group P2_1/c (No. 14)
Asymmetric unit:
Ag (0.102, 0.167, 0.419) x4
Ag (0.115, 0.217, 0.149) x4
Ag (0.136, 0.704, 0.828) x4
Ag (0.321, 0.158, 0.986) x4
Ag (0.350, 0.175, 0.684) x4
Ag (0.381, 0.637, 0.405) x4
Ge (0.088, 0.033, 0.797) x4
Ge (0.107, 0.577, 0.537) x4
Ge (0.201, 0.616, 0.101) x4
Ge (0.373, 0.510, 0.952) x4
Ge (0.375, 0.536, 0.700) x4
Ge (0.463, 0.666, 0.145) x4
O (0.062, 0.100, 0.013) x4
O (0.064, 0.571, 0.683) x4
O (0.076, 0.552, 0.171) x4
O (0.119, 0.742, 0.032) x4
O (0.157, 0.580, 0.392) x4
O (0.176, 0.176, 0.789) x4
O (0.226, 0.020, 0.514) x4
O (0.273, 0.522, 0.582) x4
O (0.300, 0.561, 0.817) x4
O (0.314, 0.646, 0.207) x4
O (0.367, 0.681, 0.011) x4
O (0.388, 0.166, 0.415) x4
O (0.459, 0.114, 0.211) x4
O (0.466, 0.020, 0.597) x4
O (0.482, 0.657, 0.674) x4

For the energy with MP2020 corrections, the calculation gives -0.433 Ry per atom.

---

No. 7
The following is a DFT calculation (PBE) of Rb3AgGe4Se10O2 after structural relaxation.

Unit cell a=9.130 b=9.151 c=10.078 alpha=115.71 beta=115.39 gamma=91.30
Space group P1 (No. 1)
Asymmetric unit:
Rb (0.000, 0.000, 0.000) x1
Rb (0.224, 0.548, 0.012) x1
Rb (0.584, 0.082, 0.443) x1
Ag (0.701, 0.363, 0.234) x1
Ge (0.184, 0.428, 0.529) x1
Ge (0.432, 0.878, 0.879) x1
Ge (0.558, 0.641, 0.539) x1
Ge (0.633, 0.522, 0.871) x1
Se (0.154, 0.694, 0.700) x1
Se (0.289, 0.442, 0.352) x1
Se (0.366, 0.318, 0.702) x1
Se (0.407, 0.129, 0.061) x1
Se (0.547, 0.916, 0.716) x1
Se (0.633, 0.791, 0.063) x1
Se (0.655, 0.667, 0.371) x1
Se (0.754, 0.534, 0.705) x1
Se (0.842, 0.425, 0.045) x1
Se (0.933, 0.222, 0.354) x1
O (0.286, 0.898, 0.144) x1
O (0.884, 0.272, 0.900) x1

For the energy with MP2020 corrections, the calculation gives -0.294 Ry per atom.

---

No. 8
The following is a DFT calculation (PBE) of U2AgGe2O12 after structural relaxation.

Unit cell a=7.035 b=10.950 c=14.128 alpha=90.00 beta=90.00 gamma=90.00
Space group Ama2 (No. 40)
Asymmetric unit:
U (0.250, 0.193, 0.000) x4
U (0.250, 0.193, 0.406) x4
Ag (0.000, 0.000, 0.799) x4
Ge (0.250, 0.382, 0.591) x4
Ge (0.250, 0.384, 0.816) x4
O (0.066, 0.325, 0.518) x8
O (0.068, 0.321, 0.887) x8
O (0.250, 0.034, 0.715) x4
O (0.250, 0.041, 0.099) x4
O (0.250, 0.043, 0.305) x4
O (0.250, 0.075, 0.895) x4
O (0.250, 0.079, 0.499) x4
O (0.250, 0.310, 0.704) x4
O (0.250, 0.311, 0.090) x4
O (0.250, 0.324, 0.322) x4

For the energy with MP2020 corrections, the calculation gives -0.578 Ry per atom.

---

No. 9
The following is a DFT calculation (PBE) of Pm2AgGe after structural relaxation.

Unit cell a=7.377 b=7.377 c=7.377 alpha=90.00 beta=90.00 gamma=90.00
Space group Fm-3m (No. 225)
Asymmetric unit:
Pm (0.250, 0.250, 0.250) x8
Ag (0.000, 0.000, 0.000) x4
Ge (0.000, 0.000, 0.500) x4

The energy comes out at -4.766 eV per atom.

---

No. 10
The following is a DFT calculation (PBE) of PrAgGe after structural relaxation.

Unit cell a=4.5853 b=4.5853 c=7.7455 alpha=90.00 beta=90.00 gamma=120.00
Space group P6_3mc (No. 186)
Asymmetric unit:
Pr (0.0000, 0.0000, 0.0000) x2
Ag (0.3333, 0.6667, 0.2688) x2
Ge (0.3333, 0.6667, 0.7121) x2

The energy comes out at -4.687 eV per atom.

---

No. 11
The following is a DFT calculation (PBE) of Ag8GeS6 after structural relaxation.

Unit cell a=15.313 b=7.626 c=10.743 alpha=90.00 beta=90.00 gamma=90.00
Space group Pna2_1 (No. 33)
Asymmetric unit:
Ag (0.016, 0.017, 0.000) x4
Ag (0.063, 0.234, 0.224) x4
Ag (0.066, 0.567, 0.910) x4
Ag (0.088, 0.611, 0.579) x4
Ag (0.129, 0.271, 0.758) x4
Ag (0.228, 0.005, 0.983) x4
Ag (0.229, 0.879, 0.579) x4
Ag (0.239, 0.626, 0.794) x4
Ge (0.124, 0.734, 0.239) x4
S (0.005, 0.731, 0.116) x4
S (0.112, 0.813, 0.756) x4
S (0.121, 0.497, 0.363) x4
S (0.124, 0.265, 0.994) x4
S (0.127, 0.974, 0.362) x4
S (0.242, 0.726, 0.116) x4

For the energy with MP2020 corrections, the calculation gives -0.280 Ry per atom.

---

No. 12
The following is a DFT calculation (PBE) of ScAgGe after structural relaxation.

Unit cell a=6.9548 b=6.9548 c=4.0659 alpha=90.00 beta=90.00 gamma=120.00
Space group P-62m (No. 189)
Asymmetric unit:
Sc (0.0000, 0.5823, 0.0000) x3
Ag (0.0000, 0.2532, 0.5000) x3
Ge (0.0000, 0.0000, 0.0000) x1
Ge (0.3333, 0.6667, 0.5000) x2

The energy comes out at -5.159 eV per atom.